Entry 1:
# NaYbS2, relaxed, DFT r2SCAN
# crystal system: trigonal
# formation energy: -206.4 kJ/mol of atoms
data_NaYbS2
_chemical_formula_sum 'Na1 Yb1 S2'
_space_group_name_H-M_alt 'P 1'
_space_group_IT_number 1
_cell_length_a 6.964
_cell_length_b 6.964
_cell_length_c 6.964
_cell_angle_alpha 32.47
_cell_angle_beta 32.47
_cell_angle_gamma 32.47
loop_
_space_group_symop_operation_xyz
'x,y,z'
loop_
_atom_site_label
_atom_site_fract_x
_atom_site_fract_y
_atom_site_fract_z
Na1 0.500 0.500 0.500
Yb1 0.000 0.000 0.000
S1 0.742 0.742 0.742
S2 0.258 0.258 0.258



Entry 2:
# SmBRh3, relaxed, DFT r2SCAN
# crystal system: cubic
# formation energy: -76.3 kJ/mol of atoms
data_SmBRh3
_chemical_formula_sum 'Sm1 B1 Rh3'
_space_group_name_H-M_alt 'P 1'
_space_group_IT_number 1
_cell_length_a 4.209
_cell_length_b 4.209
_cell_length_c 4.209
_cell_angle_alpha 90.00
_cell_angle_beta 90.00
_cell_angle_gamma 90.00
loop_
_space_group_symop_operation_xyz
'x,y,z'
loop_
_atom_site_label
_atom_site_fract_x
_atom_site_fract_y
_atom_site_fract_z
Sm1 0.000 0.000 0.000
B1 0.500 0.500 0.500
Rh1 0.000 0.500 0.500
Rh2 0.500 0.500 0.000
Rh3 0.500 0.000 0.500



Entry 3:
# Cs3Ti2Cl9, relaxed, DFT r2SCAN
# crystal system: monoclinic
# formation energy: -200.2 kJ/mol of atoms
data_Cs3Ti2Cl9
_chemical_formula_sum 'Cs6 Ti4 Cl18'
_space_group_name_H-M_alt 'P 1'
_space_group_IT_number 1
_cell_length_a 7.373
_cell_length_b 7.369
_cell_length_c 17.965
_cell_angle_alpha 89.99
_cell_angle_beta 90.00
_cell_angle_gamma 119.99
loop_
_space_group_symop_operation_xyz
'x,y,z'
loop_
_atom_site_label
_atom_site_fract_x
_atom_site_fract_y
_atom_site_fract_z
Cs1 0.667 0.333 0.924
Cs2 0.333 0.667 0.424
Cs3 0.001 0.000 0.250
Cs4 0.333 0.667 0.076
Cs5 0.000 0.000 0.750
Cs6 0.666 0.333 0.576
Ti1 0.333 0.666 0.662
Ti2 0.667 0.334 0.162
Ti3 0.333 0.666 0.838
Ti4 0.667 0.334 0.338
Cl1 0.488 0.512 0.750
Cl2 0.512 0.487 0.250
Cl3 0.177 0.354 0.907
Cl4 0.355 0.177 0.407
Cl5 0.646 0.823 0.907
Cl6 0.977 0.488 0.250
Cl7 0.488 0.976 0.750
Cl8 0.024 0.512 0.750
Cl9 0.823 0.176 0.407
Cl10 0.823 0.647 0.407
Cl11 0.177 0.354 0.593
Cl12 0.177 0.823 0.593
Cl13 0.354 0.177 0.093
Cl14 0.646 0.823 0.593
Cl15 0.512 0.025 0.250
Cl16 0.177 0.823 0.907
Cl17 0.823 0.647 0.093
Cl18 0.823 0.176 0.093



Entry 4:
# Lu5Pt3, relaxed, DFT r2SCAN
# crystal system: hexagonal
# formation energy: -114.1 kJ/mol of atoms
data_Lu5Pt3
_chemical_formula_sum 'Lu10 Pt6'
_space_group_name_H-M_alt 'P 1'
_space_group_IT_number 1
_cell_length_a 8.239
_cell_length_b 8.239
_cell_length_c 5.976
_cell_angle_alpha 90.00
_cell_angle_beta 90.00
_cell_angle_gamma 120.00
loop_
_space_group_symop_operation_xyz
'x,y,z'
loop_
_atom_site_label
_atom_site_fract_x
_atom_site_fract_y
_atom_site_fract_z
Lu1 0.667 0.333 0.500
Lu2 0.333 0.667 0.500
Lu3 0.333 0.667 0.000
Lu4 0.667 0.333 0.000
Lu5 0.753 0.753 0.250
Lu6 0.247 0.000 0.250
Lu7 0.000 0.247 0.250
Lu8 0.247 0.247 0.750
Lu9 0.753 0.000 0.750
Lu10 0.000 0.753 0.750
Pt1 0.395 0.395 0.250
Pt2 0.605 0.000 0.250
Pt3 0.000 0.605 0.250
Pt4 0.605 0.605 0.750
Pt5 0.395 0.000 0.750
Pt6 0.000 0.395 0.750



Entry 5:
# Yb2Ge4Ru3, relaxed, DFT r2SCAN
# crystal system: monoclinic
# formation energy: -68.7 kJ/mol of atoms
data_Yb2Ge4Ru3
_chemical_formula_sum 'Yb8 Ge16 Ru12'
_space_group_name_H-M_alt 'P 1'
_space_group_IT_number 1
_cell_length_a 10.329
_cell_length_b 10.329
_cell_length_c 13.862
_cell_angle_alpha 53.20
_cell_angle_beta 53.20
_cell_angle_gamma 30.92
loop_
_space_group_symop_operation_xyz
'x,y,z'
loop_
_atom_site_label
_atom_site_fract_x
_atom_site_fract_y
_atom_site_fract_z
Yb1 0.292 0.568 0.642
Yb2 0.715 0.959 0.859
Yb3 0.285 0.041 0.141
Yb4 0.432 0.708 0.858
Yb5 0.041 0.285 0.641
Yb6 0.568 0.292 0.142
Yb7 0.959 0.715 0.359
Yb8 0.708 0.432 0.358
Ge1 0.032 0.743 0.105
Ge2 0.614 0.854 0.605
Ge3 0.968 0.257 0.895
Ge4 0.385 0.615 0.250
Ge5 0.386 0.146 0.395
Ge6 0.564 0.094 0.066
Ge7 0.146 0.386 0.895
Ge8 0.257 0.968 0.395
Ge9 0.094 0.564 0.566
Ge10 0.436 0.906 0.934
Ge11 0.127 0.873 0.750
Ge12 0.743 0.032 0.605
Ge13 0.873 0.127 0.250
Ge14 0.615 0.385 0.750
Ge15 0.906 0.436 0.434
Ge16 0.854 0.614 0.105
Ru1 0.145 0.892 0.087
Ru2 0.162 0.358 0.218
Ru3 0.358 0.162 0.718
Ru4 0.838 0.642 0.782
Ru5 0.515 0.239 0.432
Ru6 0.855 0.108 0.913
Ru7 0.642 0.838 0.282
Ru8 0.239 0.515 0.932
Ru9 0.761 0.485 0.068
Ru10 0.108 0.855 0.413
Ru11 0.892 0.145 0.587
Ru12 0.485 0.761 0.568



Entry 6:
# Mn4Be3Si3SeO12, relaxed, DFT r2SCAN
# crystal system: cubic
# formation energy: -253.8 kJ/mol of atoms
data_Mn4Be3Si3SeO12
_chemical_formula_sum 'Mn8 Be6 Si6 Se2 O24'
_space_group_name_H-M_alt 'P 1'
_space_group_IT_number 1
_cell_length_a 8.334
_cell_length_b 8.334
_cell_length_c 8.334
_cell_angle_alpha 90.00
_cell_angle_beta 90.00
_cell_angle_gamma 90.00
loop_
_space_group_symop_operation_xyz
'x,y,z'
loop_
_atom_site_label
_atom_site_fract_x
_atom_site_fract_y
_atom_site_fract_z
Mn1 0.677 0.677 0.677
Mn2 0.177 0.177 0.177
Mn3 0.323 0.677 0.323
Mn4 0.323 0.323 0.677
Mn5 0.677 0.323 0.323
Mn6 0.823 0.177 0.823
Mn7 0.177 0.823 0.823
Mn8 0.823 0.823 0.177
Be1 0.250 0.500 0.000
Be2 0.500 0.000 0.750
Be3 0.500 0.000 0.250
Be4 0.000 0.250 0.500
Be5 0.000 0.750 0.500
Be6 0.750 0.500 0.000
Si1 0.750 0.000 0.500
Si2 0.250 0.000 0.500
Si3 0.000 0.500 0.750
Si4 0.000 0.500 0.250
Si5 0.500 0.250 0.000
Si6 0.500 0.750 0.000
Se1 0.000 0.000 0.000
Se2 0.500 0.500 0.500
O1 0.142 0.859 0.581
O2 0.642 0.081 0.359
O3 0.919 0.641 0.642
O4 0.081 0.641 0.358
O5 0.641 0.642 0.919
O6 0.359 0.358 0.919
O7 0.858 0.859 0.419
O8 0.858 0.141 0.581
O9 0.642 0.919 0.641
O10 0.141 0.581 0.858
O11 0.581 0.142 0.859
O12 0.581 0.858 0.141
O13 0.859 0.419 0.858
O14 0.419 0.858 0.859
O15 0.142 0.141 0.419
O16 0.358 0.919 0.359
O17 0.358 0.081 0.641
O18 0.859 0.581 0.142
O19 0.919 0.359 0.358
O20 0.641 0.358 0.081
O21 0.359 0.642 0.081
O22 0.419 0.142 0.141
O23 0.141 0.419 0.142
O24 0.081 0.359 0.642



Entry 7:
# CeU2S5, relaxed, DFT r2SCAN
# crystal system: orthorhombic
# formation energy: -199.8 kJ/mol of atoms
data_CeU2S5
_chemical_formula_sum 'Ce4 U8 S20'
_space_group_name_H-M_alt 'P 1'
_space_group_IT_number 1
_cell_length_a 7.519
_cell_length_b 8.124
_cell_length_c 11.905
_cell_angle_alpha 90.00
_cell_angle_beta 90.00
_cell_angle_gamma 90.00
loop_
_space_group_symop_operation_xyz
'x,y,z'
loop_
_atom_site_label
_atom_site_fract_x
_atom_site_fract_y
_atom_site_fract_z
Ce1 0.475 0.000 0.823
Ce2 0.525 0.500 0.177
Ce3 0.975 0.500 0.677
Ce4 0.025 0.000 0.323
U1 0.572 0.249 0.491
U2 0.928 0.249 0.991
U3 0.428 0.749 0.509
U4 0.072 0.749 0.009
U5 0.019 0.499 0.322
U6 0.981 0.999 0.678
U7 0.519 0.999 0.178
U8 0.481 0.499 0.822
S1 0.957 0.250 0.499
S2 0.543 0.250 0.999
S3 0.043 0.750 0.501
S4 0.457 0.750 0.001
S5 0.334 0.043 0.595
S6 0.158 0.460 0.099
S7 0.666 0.543 0.405
S8 0.842 0.960 0.901
S9 0.658 0.960 0.401
S10 0.834 0.543 0.905
S11 0.342 0.460 0.599
S12 0.166 0.043 0.095
S13 0.698 0.250 0.715
S14 0.802 0.250 0.215
S15 0.302 0.750 0.285
S16 0.198 0.750 0.785
S17 0.331 0.250 0.313
S18 0.169 0.250 0.813
S19 0.669 0.750 0.687
S20 0.831 0.750 0.187



Entry 8:
# MgCdAg2, relaxed, DFT r2SCAN
# crystal system: cubic
# formation energy: -14.4 kJ/mol of atoms
data_MgCdAg2
_chemical_formula_sum 'Mg1 Cd1 Ag2'
_space_group_name_H-M_alt 'P 1'
_space_group_IT_number 1
_cell_length_a 4.699
_cell_length_b 4.699
_cell_length_c 4.699
_cell_angle_alpha 60.00
_cell_angle_beta 60.00
_cell_angle_gamma 60.00
loop_
_space_group_symop_operation_xyz
'x,y,z'
loop_
_atom_site_label
_atom_site_fract_x
_atom_site_fract_y
_atom_site_fract_z
Mg1 0.500 0.500 0.500
Cd1 0.000 0.000 0.000
Ag1 0.750 0.750 0.750
Ag2 0.250 0.250 0.250



Entry 9:
# Au, relaxed, DFT r2SCAN
# crystal system: orthorhombic
# polymorph energy (0 for the lowest one): 2 meV per atom
# formation energy: 0.2 kJ/mol of atoms
data_Au
_chemical_formula_sum 'Au2'
_space_group_name_H-M_alt 'P 1'
_space_group_IT_number 1
_cell_length_a 2.823
_cell_length_b 2.920
_cell_length_c 4.893
_cell_angle_alpha 90.00
_cell_angle_beta 90.00
_cell_angle_gamma 118.91
loop_
_space_group_symop_operation_xyz
'x,y,z'
loop_
_atom_site_label
_atom_site_fract_x
_atom_site_fract_y
_atom_site_fract_z
Au1 0.335 0.669 0.250
Au2 0.665 0.331 0.750



Entry 10:
# MnO2, relaxed, DFT r2SCAN
# formation energy: -189.8 kJ/mol of atoms
data_MnO2
_chemical_formula_sum 'Mn4 O8'
_space_group_name_H-M_alt 'P 1'
_space_group_IT_number 1
_cell_length_a 2.855
_cell_length_b 20.443
_cell_length_c 2.855
_cell_angle_alpha 90.00
_cell_angle_beta 60.00
_cell_angle_gamma 90.00
loop_
_space_group_symop_operation_xyz
'x,y,z'
loop_
_atom_site_label
_atom_site_fract_x
_atom_site_fract_y
_atom_site_fract_z
Mn1 0.000 0.750 0.000
Mn2 0.000 0.500 0.000
Mn3 0.000 0.250 0.000
Mn4 0.000 0.000 0.000
O1 0.333 0.297 0.333
O2 0.333 0.797 0.334
O3 0.333 0.453 0.333
O4 0.333 0.953 0.333
O5 0.667 0.204 0.667
O6 0.667 0.704 0.667
O7 0.667 0.046 0.667
O8 0.667 0.546 0.667



Entry 11:
# Rb4Zr3Te16, relaxed, DFT r2SCAN
# crystal system: monoclinic
# formation energy: -81.9 kJ/mol of atoms
data_Rb4Zr3Te16
_chemical_formula_sum 'Rb8 Zr6 Te32'
_space_group_name_H-M_alt 'P 1'
_space_group_IT_number 1
_cell_length_a 11.275
_cell_length_b 11.275
_cell_length_c 15.432
_cell_angle_alpha 83.26
_cell_angle_beta 83.26
_cell_angle_gamma 114.82
loop_
_space_group_symop_operation_xyz
'x,y,z'
loop_
_atom_site_label
_atom_site_fract_x
_atom_site_fract_y
_atom_site_fract_z
Rb1 0.549 0.251 0.932
Rb2 0.749 0.451 0.568
Rb3 0.451 0.749 0.068
Rb4 0.251 0.549 0.432
Rb5 0.028 0.753 0.873
Rb6 0.247 0.972 0.627
Rb7 0.972 0.247 0.127
Rb8 0.753 0.028 0.373
Zr1 0.567 0.792 0.729
Zr2 0.208 0.433 0.771
Zr3 0.433 0.208 0.271
Zr4 0.792 0.567 0.229
Zr5 0.891 0.109 0.750
Zr6 0.109 0.891 0.250
Te1 0.752 0.848 0.871
Te2 0.152 0.248 0.629
Te3 0.248 0.152 0.129
Te4 0.848 0.752 0.371
Te5 0.803 0.095 0.942
Te6 0.905 0.197 0.558
Te7 0.197 0.905 0.058
Te8 0.095 0.803 0.442
Te9 0.084 0.155 0.873
Te10 0.845 0.916 0.627
Te11 0.916 0.845 0.127
Te12 0.155 0.084 0.373
Te13 0.352 0.265 0.744
Te14 0.735 0.648 0.756
Te15 0.648 0.735 0.256
Te16 0.265 0.352 0.244
Te17 0.623 0.080 0.716
Te18 0.920 0.377 0.784
Te19 0.377 0.920 0.284
Te20 0.080 0.623 0.216
Te21 0.406 0.885 0.837
Te22 0.115 0.594 0.663
Te23 0.594 0.115 0.163
Te24 0.885 0.406 0.337
Te25 0.422 0.549 0.875
Te26 0.451 0.578 0.625
Te27 0.578 0.451 0.125
Te28 0.549 0.422 0.375
Te29 0.171 0.528 0.939
Te30 0.472 0.829 0.561
Te31 0.829 0.472 0.061
Te32 0.528 0.171 0.439



Entry 12:
# TmAg2, relaxed, DFT r2SCAN
# crystal system: tetragonal
# formation energy: -33.8 kJ/mol of atoms
data_TmAg2
_chemical_formula_sum 'Tm1 Ag2'
_space_group_name_H-M_alt 'P 1'
_space_group_IT_number 1
_cell_length_a 3.665
_cell_length_b 3.665
_cell_length_c 5.235
_cell_angle_alpha 110.49
_cell_angle_beta 110.49
_cell_angle_gamma 90.00
loop_
_space_group_symop_operation_xyz
'x,y,z'
loop_
_atom_site_label
_atom_site_fract_x
_atom_site_fract_y
_atom_site_fract_z
Tm1 0.000 0.000 0.000
Ag1 0.331 0.331 0.662
Ag2 0.669 0.669 0.338



Entry 13:
# As2O3, relaxed, DFT r2SCAN
# crystal system: tetragonal
# formation energy: -120.8 kJ/mol of atoms
data_As2O3
_chemical_formula_sum 'As8 O12'
_space_group_name_H-M_alt 'P 1'
_space_group_IT_number 1
_cell_length_a 6.903
_cell_length_b 6.903
_cell_length_c 7.887
_cell_angle_alpha 90.00
_cell_angle_beta 90.00
_cell_angle_gamma 90.00
loop_
_space_group_symop_operation_xyz
'x,y,z'
loop_
_atom_site_label
_atom_site_fract_x
_atom_site_fract_y
_atom_site_fract_z
As1 0.775 0.453 0.108
As2 0.225 0.547 0.108
As3 0.275 0.953 0.392
As4 0.725 0.047 0.392
As5 0.453 0.225 0.892
As6 0.547 0.775 0.892
As7 0.953 0.725 0.608
As8 0.047 0.275 0.608
O1 0.683 0.342 0.918
O2 0.317 0.658 0.918
O3 0.183 0.842 0.582
O4 0.817 0.158 0.582
O5 0.342 0.317 0.082
O6 0.658 0.683 0.082
O7 0.842 0.817 0.418
O8 0.158 0.183 0.418
O9 0.000 0.500 0.501
O10 0.500 0.000 0.999
O11 0.500 0.000 0.499
O12 0.000 0.500 0.001



Entry 14:
# YbZnO3, relaxed, DFT r2SCAN
# crystal system: cubic
# formation energy: -203.4 kJ/mol of atoms
data_YbZnO3
_chemical_formula_sum 'Yb1 Zn1 O3'
_space_group_name_H-M_alt 'P 1'
_space_group_IT_number 1
_cell_length_a 3.769
_cell_length_b 3.769
_cell_length_c 3.769
_cell_angle_alpha 90.00
_cell_angle_beta 90.00
_cell_angle_gamma 90.00
loop_
_space_group_symop_operation_xyz
'x,y,z'
loop_
_atom_site_label
_atom_site_fract_x
_atom_site_fract_y
_atom_site_fract_z
Yb1 0.000 0.000 0.000
Zn1 0.500 0.500 0.500
O1 0.500 0.500 0.000
O2 0.500 0.000 0.500
O3 0.000 0.500 0.500



Entry 15:
# Rh, relaxed, DFT r2SCAN
# crystal system: cubic
# polymorph energy (0 for the lowest one): 0 meV per atom
# formation energy: 0.0 kJ/mol of atoms
data_Rh
_chemical_formula_sum 'Rh1'
_space_group_name_H-M_alt 'P 1'
_space_group_IT_number 1
_cell_length_a 2.691
_cell_length_b 2.691
_cell_length_c 2.691
_cell_angle_alpha 60.00
_cell_angle_beta 60.00
_cell_angle_gamma 60.00
loop_
_space_group_symop_operation_xyz
'x,y,z'
loop_
_atom_site_label
_atom_site_fract_x
_atom_site_fract_y
_atom_site_fract_z
Rh1 0.000 0.000 0.000



Entry 16:
# CsErO2, relaxed, DFT r2SCAN
# crystal system: hexagonal
# formation energy: -283.5 kJ/mol of atoms
data_CsErO2
_chemical_formula_sum 'Cs2 Er2 O4'
_space_group_name_H-M_alt 'P 1'
_space_group_IT_number 1
_cell_length_a 3.494
_cell_length_b 3.494
_cell_length_c 13.628
_cell_angle_alpha 90.00
_cell_angle_beta 90.00
_cell_angle_gamma 120.00
loop_
_space_group_symop_operation_xyz
'x,y,z'
loop_
_atom_site_label
_atom_site_fract_x
_atom_site_fract_y
_atom_site_fract_z
Cs1 0.333 0.667 0.750
Cs2 0.667 0.333 0.250
Er1 0.000 0.000 0.000
Er2 0.000 0.000 0.500
O1 0.333 0.667 0.419
O2 0.333 0.667 0.081
O3 0.667 0.333 0.581
O4 0.667 0.333 0.919



Entry 17:
# Tm2SeO2, relaxed, DFT r2SCAN
# crystal system: trigonal
# formation energy: -337.6 kJ/mol of atoms
data_Tm2SeO2
_chemical_formula_sum 'Tm2 Se1 O2'
_space_group_name_H-M_alt 'P 1'
_space_group_IT_number 1
_cell_length_a 3.755
_cell_length_b 3.755
_cell_length_c 6.699
_cell_angle_alpha 90.00
_cell_angle_beta 90.00
_cell_angle_gamma 120.00
loop_
_space_group_symop_operation_xyz
'x,y,z'
loop_
_atom_site_label
_atom_site_fract_x
_atom_site_fract_y
_atom_site_fract_z
Tm1 0.333 0.667 0.292
Tm2 0.667 0.333 0.708
Se1 0.000 0.000 0.000
O1 0.333 0.667 0.625
O2 0.667 0.333 0.375